No. 1
The following is a GGA-PBE calculation of a relaxed structure of BaMg2Sb2, from Materials Project.

Values from the calculation:
**Crystal system**: trigonal
**VASP energy**: -17.22 eV/f.u.
**Symmetry**: P-3m1 (164)

Lattice parameters (Å, degrees): 4.824 4.824 8.215 90.00 90.00 120.00
Sites, in units of the cell vectors:
Mg 0.667 0.333 0.624
Mg 0.333 0.667 0.376
Ba 0.000 0.000 0.000
Sb 0.333 0.667 0.732
Sb 0.667 0.333 0.268


No. 2
The following is a GGA-PBE calculation of a relaxed structure of BaMg6Sb, from Materials Project.

Values from the calculation:
**VASP energy**: -15.97 eV/f.u.

Lattice parameters (Å, degrees): 5.117 7.193 12.189 90.00 90.00 90.00
Sites, in units of the cell vectors:
Sb 0.500 0.500 0.143
Sb 0.500 0.000 0.643
Ba 0.000 0.500 0.328
Ba 0.000 0.000 0.828
Mg 0.000 0.247 0.578
Mg 0.000 0.500 0.842
Mg 0.500 0.712 0.931
Mg 0.500 0.212 0.431
Mg 0.000 0.000 0.342
Mg 0.500 0.000 0.169
Mg 0.500 0.500 0.669
Mg 0.000 0.253 0.078
Mg 0.500 0.788 0.431
Mg 0.000 0.753 0.578
Mg 0.500 0.288 0.931
Mg 0.000 0.747 0.078


No. 3
The following is a GGA-PBE calculation of a relaxed structure of BaMg6Si, from Materials Project.

Values from the calculation:
**Crystal system**: orthorhombic
**E above lowest polymorph**: 0.053 eV/atom
**VASP energy**: -16.17 eV/f.u.
**Symmetry**: Amm2 (38)

Lattice parameters (Å, degrees): 7.145 7.145 4.866 90.00 90.00 119.50
Sites, in units of the cell vectors:
Mg 0.859 0.737 0.000
Mg 0.699 0.858 0.500
Mg 0.334 0.666 0.000
Mg 0.263 0.141 0.000
Mg 0.142 0.301 0.500
Mg 0.160 0.840 0.500
Si 0.869 0.131 0.000
Ba 0.675 0.325 0.500


No. 4
The following is a GGA-PBE calculation of a relaxed structure of BaMg6Si, from Materials Project.

Values from the calculation:
**E above lowest polymorph**: 0.000 eV/atom
**VASP energy**: -16.60 eV/f.u.

Lattice parameters (Å, degrees): 4.950 6.087 14.271 90.00 90.00 90.00
Sites, in units of the cell vectors:
Mg 0.500 0.758 0.438
Mg 0.000 0.000 0.871
Mg 0.500 0.742 0.938
Mg 0.500 0.258 0.938
Mg 0.000 0.000 0.303
Mg 0.000 0.245 0.073
Mg 0.500 0.242 0.438
Mg 0.000 0.500 0.371
Mg 0.000 0.745 0.573
Mg 0.000 0.255 0.573
Mg 0.000 0.500 0.803
Mg 0.000 0.755 0.073
Si 0.500 0.500 0.601
Si 0.500 0.000 0.101
Ba 0.500 0.500 0.202
Ba 0.500 0.000 0.702


No. 5
The following is a GGA-PBE calculation of a relaxed structure of BaMg2Si2, from Materials Project.

Values from the calculation:
**Crystal system**: tetragonal
**VASP energy**: -17.65 eV/f.u.
**Symmetry**: I4/mmm (139)

Lattice parameters (Å, degrees): 6.439 6.439 6.439 137.50 137.50 61.68
Sites, in units of the cell vectors:
Mg 0.250 0.750 0.500
Mg 0.750 0.250 0.500
Si 0.388 0.388 0.000
Si 0.612 0.612 0.000
Ba 0.000 0.000 0.000


No. 6
The following is a GGA-PBE calculation of a relaxed structure of BaMg6Sn, from Materials Project.

Values from the calculation:
**Crystal system**: orthorhombic
**E above lowest polymorph**: 0.000 eV/atom
**VASP energy**: -15.47 eV/f.u.
**Symmetry**: Amm2 (38)

Lattice parameters (Å, degrees): 7.093 7.093 5.266 90.00 90.00 123.26
Sites, in units of the cell vectors:
Mg 0.696 0.845 0.000
Mg 0.670 0.330 0.000
Mg 0.150 0.850 0.000
Mg 0.328 0.168 0.500
Mg 0.832 0.672 0.500
Mg 0.155 0.304 0.000
Sn 0.841 0.159 0.500
Ba 0.328 0.672 0.500


No. 7
The following is a GGA-PBE calculation of a relaxed structure of BaMgSn, from Materials Project.

Values from the calculation:
**Crystal system**: tetragonal
**VASP energy**: -7.68 eV/f.u.
**Symmetry**: P4/nmm (129)

Lattice parameters (Å, degrees): 5.002 5.002 8.441 90.00 90.00 90.00
Sites, in units of the cell vectors:
Ba 0.000 0.000 0.000
Ba 0.500 0.500 0.000
Mg 0.000 0.500 0.641
Mg 0.500 0.000 0.359
Sn 0.000 0.500 0.303
Sn 0.500 0.000 0.697


No. 8
The following is a GGA-PBE calculation of a relaxed structure of Ba4Mg5Sn7, from Materials Project.

Values from the calculation:
**Crystal system**: tetragonal
**VASP energy**: -38.18 eV/f.u.
**Symmetry**: P4/mmm (123)

Lattice parameters (Å, degrees): 3.546 3.546 49.430 90.00 90.00 90.00
Sites, in units of the cell vectors:
Mg 0.500 0.500 0.251
Mg 0.500 0.500 0.000
Mg 0.500 0.500 0.557
Mg 0.500 0.500 0.749
Mg 0.500 0.500 0.443
Sn 0.500 0.500 0.500
Sn 0.500 0.500 0.194
Sn 0.500 0.500 0.059
Sn 0.500 0.500 0.693
Sn 0.500 0.500 0.307
Sn 0.500 0.500 0.806
Sn 0.500 0.500 0.941
Ba 0.500 0.500 0.874
Ba 0.500 0.500 0.627
Ba 0.500 0.500 0.373
Ba 0.500 0.500 0.126


No. 9
The following is a GGA-PBE calculation of a relaxed structure of BaMg6Sn, from Materials Project.

Values from the calculation:
**E above lowest polymorph**: 0.004 eV/atom
**VASP energy**: -15.44 eV/f.u.

Lattice parameters (Å, degrees): 5.207 7.068 12.022 90.00 90.00 90.00
Sites, in units of the cell vectors:
Mg 0.000 0.280 0.574
Mg 0.500 0.257 0.421
Mg 0.000 0.720 0.574
Mg 0.000 0.780 0.074
Mg 0.500 0.500 0.660
Mg 0.500 0.757 0.921
Mg 0.000 0.000 0.332
Mg 0.000 0.500 0.832
Mg 0.500 0.000 0.160
Mg 0.500 0.743 0.421
Mg 0.500 0.243 0.921
Mg 0.000 0.220 0.074
Ba 0.500 0.500 0.170
Ba 0.500 0.000 0.670
Sn 0.000 0.500 0.349
Sn 0.000 0.000 0.849


No. 10
The following is a GGA-PBE calculation of a relaxed structure of BaMg2Sn2, from Materials Project.

Values from the calculation:
**Crystal system**: tetragonal
**VASP energy**: -15.56 eV/f.u.
**Symmetry**: P4/nmm (129)

Lattice parameters (Å, degrees): 4.948 4.948 24.488 90.00 90.00 90.00
Sites, in units of the cell vectors:
Sn 0.000 0.500 0.066
Sn 0.500 0.000 0.815
Sn 0.000 0.500 0.185
Sn 0.500 0.500 0.500
Sn 0.000 0.500 0.682
Sn 0.000 0.000 0.500
Sn 0.500 0.000 0.934
Sn 0.500 0.000 0.318
Ba 0.500 0.000 0.620
Ba 0.500 0.000 0.129
Ba 0.000 0.500 0.380
Ba 0.000 0.500 0.871
Mg 0.000 0.000 0.252
Mg 0.000 0.000 0.000
Mg 0.500 0.000 0.434
Mg 0.500 0.500 0.748
Mg 0.000 0.000 0.748
Mg 0.000 0.500 0.566
Mg 0.500 0.500 0.252
Mg 0.500 0.500 0.000


No. 11
The following is a GGA-PBE calculation of a relaxed structure of BaSrMg6, from Materials Project.

Values from the calculation:
**E above lowest polymorph**: 0.006 eV/atom
**VASP energy**: -12.39 eV/f.u.

Lattice parameters (Å, degrees): 5.514 7.233 12.364 90.00 90.00 90.00
Sites, in units of the cell vectors:
Mg 0.000 0.732 0.585
Mg 0.500 0.242 0.415
Mg 0.500 0.258 0.915
Mg 0.500 0.000 0.161
Mg 0.000 0.768 0.085
Mg 0.500 0.758 0.415
Mg 0.500 0.742 0.915
Mg 0.000 0.500 0.836
Mg 0.500 0.500 0.661
Mg 0.000 0.232 0.085
Mg 0.000 0.000 0.336
Mg 0.000 0.268 0.585
Ba 0.500 0.500 0.155
Ba 0.500 0.000 0.655
Sr 0.000 0.000 0.846
Sr 0.000 0.500 0.346


No. 12
The following is a GGA-PBE calculation of a relaxed structure of BaSrMg6, from Materials Project.

Values from the calculation:
**E above lowest polymorph**: 0.000 eV/atom
**VASP energy**: -12.44 eV/f.u.

Lattice parameters (Å, degrees): 5.386 7.274 12.832 90.00 90.00 90.00
Sites, in units of the cell vectors:
Mg 0.000 0.000 0.353
Mg 0.500 0.248 0.920
Mg 0.000 0.244 0.058
Mg 0.000 0.500 0.355
Mg 0.000 0.756 0.058
Mg 0.000 0.744 0.558
Mg 0.500 0.752 0.920
Mg 0.500 0.252 0.420
Mg 0.000 0.500 0.853
Mg 0.500 0.748 0.420
Mg 0.000 0.000 0.855
Mg 0.000 0.256 0.558
Ba 0.500 0.000 0.668
Ba 0.500 0.500 0.168
Sr 0.500 0.000 0.168
Sr 0.500 0.500 0.668


No. 13
The following is a GGA-PBE calculation of a relaxed structure of BaMg14Ti, from Materials Project.

Values from the calculation:
**Crystal system**: hexagonal
**VASP energy**: -30.16 eV/f.u.
**Symmetry**: P-6m2 (187)

Lattice parameters (Å, degrees): 6.595 6.595 10.405 90.00 90.00 120.00
Sites, in units of the cell vectors:
Mg 0.826 0.163 0.358
Mg 0.833 0.667 0.869
Mg 0.337 0.674 0.892
Mg 0.668 0.336 0.125
Mg 0.181 0.841 0.625
Mg 0.337 0.163 0.358
Mg 0.668 0.832 0.125
Mg 0.659 0.319 0.625
Mg 0.826 0.163 0.892
Mg 0.659 0.841 0.625
Mg 0.337 0.674 0.358
Mg 0.337 0.163 0.892
Mg 0.164 0.832 0.125
Mg 0.833 0.667 0.381
Ti 0.167 0.333 0.125
Ba 0.167 0.333 0.625


No. 14
The following is a GGA-PBE calculation of a relaxed structure of BaMg14Ti, from Materials Project.

Values from the calculation:
**Crystal system**: orthorhombic
**VASP energy**: -30.16 eV/f.u.
**Symmetry**: Amm2 (38)

Lattice parameters (Å, degrees): 6.589 6.538 10.497 90.00 90.00 119.75
Sites, in units of the cell vectors:
Mg 0.338 0.656 0.385
Mg 0.338 0.182 0.865
Mg 0.169 0.835 0.625
Mg 0.666 0.839 0.625
Mg 0.656 0.823 0.125
Mg 0.844 0.172 0.885
Mg 0.338 0.182 0.385
Mg 0.656 0.333 0.125
Mg 0.821 0.661 0.857
Mg 0.821 0.661 0.393
Mg 0.844 0.172 0.365
Mg 0.161 0.331 0.625
Mg 0.338 0.656 0.865
Mg 0.666 0.327 0.625
Ti 0.190 0.345 0.125
Ba 0.155 0.828 0.125


No. 15
The following is a GGA-PBE calculation of a relaxed structure of Ba2MgTl, from Materials Project.

Values from the calculation:
**Crystal system**: cubic
**VASP energy**: -8.79 eV/f.u.
**Symmetry**: Fm-3m (225)

Lattice parameters (Å, degrees): 6.106 6.106 6.106 60.00 60.00 60.00
Sites, in units of the cell vectors:
Ba 0.250 0.250 0.250
Ba 0.750 0.750 0.750
Tl 0.000 0.000 0.000
Mg 0.500 0.500 0.500


No. 16
The following is a GGA-PBE calculation of a relaxed structure of BaMg14V, from Materials Project.

Values from the calculation:
**Crystal system**: orthorhombic
**E above lowest polymorph**: 0.000 eV/atom
**VASP energy**: -30.91 eV/f.u.
**Symmetry**: Amm2 (38)

Lattice parameters (Å, degrees): 6.576 6.479 10.592 90.00 90.00 119.52
Sites, in units of the cell vectors:
V 0.184 0.342 0.125
Mg 0.666 0.839 0.625
Mg 0.161 0.330 0.625
Mg 0.341 0.180 0.386
Mg 0.649 0.818 0.125
Mg 0.666 0.326 0.625
Mg 0.826 0.663 0.396
Mg 0.169 0.835 0.625
Mg 0.649 0.330 0.125
Mg 0.341 0.661 0.386
Mg 0.341 0.180 0.864
Mg 0.341 0.661 0.864
Mg 0.848 0.174 0.890
Mg 0.826 0.663 0.854
Mg 0.848 0.174 0.360
Ba 0.146 0.823 0.125


No. 17
The following is a GGA-PBE calculation of a relaxed structure of BaMg6V, from Materials Project.

Values from the calculation:
**E above lowest polymorph**: 0.006 eV/atom
**VASP energy**: -18.16 eV/f.u.

Lattice parameters (Å, degrees): 5.261 6.791 11.858 90.00 90.00 90.00
Sites, in units of the cell vectors:
Ba 0.500 0.000 0.668
Ba 0.500 0.500 0.168
Mg 0.000 0.000 0.334
Mg 0.000 0.274 0.574
Mg 0.500 0.500 0.666
Mg 0.500 0.731 0.416
Mg 0.500 0.769 0.916
Mg 0.000 0.500 0.834
Mg 0.500 0.269 0.416
Mg 0.000 0.226 0.074
Mg 0.000 0.774 0.074
Mg 0.500 0.000 0.166
Mg 0.000 0.726 0.574
Mg 0.500 0.231 0.916
V 0.000 0.500 0.353
V 0.000 0.000 0.853


No. 18
The following is a GGA-PBE calculation of a relaxed structure of BaMg14V, from Materials Project.

Values from the calculation:
**Crystal system**: hexagonal
**E above lowest polymorph**: 0.008 eV/atom
**VASP energy**: -30.78 eV/f.u.
**Symmetry**: P-6m2 (187)

Lattice parameters (Å, degrees): 6.600 6.600 10.396 90.00 90.00 120.00
Sites, in units of the cell vectors:
Mg 0.669 0.831 0.125
Mg 0.336 0.673 0.355
Mg 0.336 0.164 0.355
Mg 0.336 0.673 0.895
Mg 0.163 0.831 0.125
Mg 0.827 0.164 0.355
Mg 0.181 0.841 0.625
Mg 0.669 0.337 0.125
Mg 0.833 0.667 0.868
Mg 0.336 0.164 0.895
Mg 0.659 0.841 0.625
Mg 0.659 0.319 0.625
Mg 0.833 0.667 0.382
Mg 0.827 0.164 0.895
V 0.167 0.333 0.125
Ba 0.167 0.333 0.625


No. 19
The following is a GGA-PBE calculation of a relaxed structure of BaMg6V, from Materials Project.

Values from the calculation:
**E above lowest polymorph**: 0.000 eV/atom
**VASP energy**: -18.21 eV/f.u.

Lattice parameters (Å, degrees): 5.283 6.773 11.688 90.00 90.00 90.00
Sites, in units of the cell vectors:
V 0.500 0.000 0.838
V 0.500 0.500 0.338
Ba 0.500 0.000 0.334
Ba 0.500 0.500 0.834
Mg 0.000 0.279 0.418
Mg 0.000 0.000 0.675
Mg 0.500 0.746 0.581
Mg 0.000 0.779 0.918
Mg 0.000 0.000 0.153
Mg 0.000 0.721 0.418
Mg 0.500 0.754 0.081
Mg 0.500 0.254 0.581
Mg 0.000 0.500 0.175
Mg 0.500 0.246 0.081
Mg 0.000 0.221 0.918
Mg 0.000 0.500 0.653